# 1
{"formula": "Er2Al3Ga", "functional": "r2SCAN", "state": "relaxed", "space_group": "R-3m", "final_energy_ev_per_atom": -17.175, "cell": [[-3.746, -1.521, -3.691], [1.081, -4.075, -3.494], [-2.566, -4.810, 0.510]], "species": ["Al", "Al", "Al", "Ga", "Er", "Er"], "frac_coords": [[0.500, 0.000, 0.500], [0.000, 0.500, 0.500], [0.500, 0.500, 0.000], [0.500, 0.500, 0.500], [0.876, 0.876, 0.876], [0.124, 0.124, 0.124]]}

=====

# 2
{"formula": "GdErAl6", "functional": "r2SCAN", "state": "relaxed", "space_group": "P6_3/mmc", "final_energy_ev_per_atom": -14.869, "cell": [[4.751, 3.596, -1.253], [-5.188, 0.608, -3.130], [-3.098, 6.311, 6.362]], "species": ["Er", "Er", "Al", "Al", "Al", "Al", "Al", "Al", "Al", "Al", "Al", "Al", "Al", "Al", "Gd", "Gd"], "frac_coords": [[0.667, 0.333, 0.250], [0.333, 0.667, 0.750], [0.633, 0.816, 0.250], [0.184, 0.367, 0.250], [0.500, 0.000, 0.500], [0.000, 0.500, 0.000], [0.500, 0.500, 0.500], [0.816, 0.184, 0.750], [0.184, 0.816, 0.250], [0.367, 0.184, 0.750], [0.500, 0.500, 0.000], [0.500, 0.000, 0.000], [0.000, 0.500, 0.500], [0.816, 0.633, 0.750], [0.000, 0.000, 0.500], [0.000, 0.000, 0.000]]}

=====

# 3
{"formula": "ErAl2Ge2", "functional": "r2SCAN", "state": "relaxed", "space_group": "P-3m1", "final_energy_ev_per_atom": -15.486, "cell": [[4.222, 0.000, 0.000], [-2.111, 3.657, 0.000], [0.000, 0.000, 6.566]], "species": ["Al", "Al", "Ge", "Ge", "Er"], "frac_coords": [[0.333, 0.667, 0.646], [0.667, 0.333, 0.354], [0.333, 0.667, 0.257], [0.667, 0.333, 0.743], [0.000, 0.000, 0.000]]}

=====

# 4
{"formula": "Er6Nb4Al43", "functional": "r2SCAN", "state": "relaxed", "space_group": "P6_3/mcm", "final_energy_ev_per_atom": -11.526, "cell": [[5.505, -9.535, 0.000], [5.505, 9.535, 0.000], [0.000, 0.000, 17.703]], "species": ["Al", "Al", "Al", "Al", "Al", "Al", "Al", "Al", "Al", "Al", "Al", "Al", "Al", "Al", "Al", "Al", "Al", "Al", "Al", "Al", "Al", "Al", "Al", "Al", "Al", "Al", "Al", "Al", "Al", "Al", "Al", "Al", "Al", "Al", "Al", "Al", "Al", "Al", "Al", "Al", "Al", "Al", "Al", "Al", "Al", "Al", "Al", "Al", "Al", "Al", "Al", "Al", "Al", "Al", "Al", "Al", "Al", "Al", "Al", "Al", "Al", "Al", "Al", "Al", "Al", "Al", "Al", "Al", "Al", "Al", "Al", "Al", "Al", "Al", "Al", "Al", "Al", "Al", "Al", "Al", "Al", "Al", "Al", "Al", "Al", "Al", "Nb", "Nb", "Nb", "Nb", "Nb", "Nb", "Nb", "Nb", "Er", "Er", "Er", "Er", "Er", "Er", "Er", "Er", "Er", "Er", "Er", "Er"], "frac_coords": [[0.158, 0.763, 0.162], [0.000, 0.744, 0.471], [0.247, 0.753, 0.500], [0.256, 0.256, 0.029], [0.159, 0.159, 0.885], [0.556, 0.153, 0.250], [0.158, 0.763, 0.338], [0.237, 0.842, 0.662], [0.753, 0.505, 0.000], [0.667, 0.333, 0.375], [0.667, 0.333, 0.875], [0.847, 0.403, 0.250], [0.000, 0.744, 0.029], [0.256, 0.256, 0.471], [0.395, 0.237, 0.338], [0.495, 0.247, 0.000], [0.505, 0.753, 0.000], [0.153, 0.556, 0.250], [0.763, 0.158, 0.338], [0.842, 0.237, 0.662], [0.247, 0.495, 0.000], [0.159, 0.000, 0.115], [0.744, 0.000, 0.471], [0.153, 0.597, 0.750], [0.842, 0.605, 0.338], [0.763, 0.605, 0.662], [0.505, 0.753, 0.500], [0.847, 0.444, 0.750], [0.495, 0.247, 0.500], [0.256, 0.000, 0.529], [0.763, 0.158, 0.162], [0.333, 0.667, 0.125], [0.842, 0.237, 0.838], [0.842, 0.605, 0.162], [0.852, 0.000, 0.250], [0.247, 0.495, 0.500], [0.395, 0.237, 0.162], [0.000, 0.159, 0.385], [0.333, 0.667, 0.375], [0.000, 0.256, 0.529], [0.403, 0.847, 0.250], [0.753, 0.247, 0.500], [0.158, 0.395, 0.838], [0.667, 0.333, 0.125], [0.159, 0.000, 0.385], [0.000, 0.852, 0.250], [0.444, 0.597, 0.250], [0.841, 0.000, 0.885], [0.841, 0.841, 0.115], [0.605, 0.842, 0.338], [0.159, 0.159, 0.615], [0.605, 0.763, 0.662], [0.000, 0.841, 0.885], [0.841, 0.000, 0.615], [0.000, 0.159, 0.115], [0.667, 0.333, 0.625], [0.000, 0.148, 0.750], [0.556, 0.403, 0.750], [0.744, 0.744, 0.529], [0.333, 0.667, 0.625], [0.605, 0.763, 0.838], [0.333, 0.667, 0.875], [0.597, 0.153, 0.750], [0.000, 0.841, 0.615], [0.395, 0.158, 0.838], [0.753, 0.247, 0.000], [0.237, 0.842, 0.838], [0.744, 0.744, 0.971], [0.000, 0.256, 0.971], [0.444, 0.847, 0.750], [0.237, 0.395, 0.162], [0.605, 0.842, 0.162], [0.597, 0.444, 0.250], [0.148, 0.000, 0.750], [0.256, 0.000, 0.971], [0.158, 0.395, 0.662], [0.395, 0.158, 0.662], [0.403, 0.556, 0.750], [0.753, 0.505, 0.500], [0.763, 0.605, 0.838], [0.237, 0.395, 0.338], [0.148, 0.148, 0.250], [0.841, 0.841, 0.385], [0.247, 0.753, 0.000], [0.744, 0.000, 0.029], [0.852, 0.852, 0.750], [0.726, 0.000, 0.750], [0.274, 0.000, 0.250], [0.000, 0.000, 0.500], [0.726, 0.726, 0.250], [0.000, 0.726, 0.750], [0.274, 0.274, 0.750], [0.000, 0.000, 0.000], [0.000, 0.274, 0.250], [0.000, 0.531, 0.596], [0.531, 0.000, 0.596], [0.000, 0.531, 0.904], [0.469, 0.469, 0.596], [0.531, 0.531, 0.404], [0.000, 0.469, 0.096], [0.531, 0.531, 0.096], [0.469, 0.469, 0.904], [0.000, 0.469, 0.404], [0.469, 0.000, 0.096], [0.469, 0.000, 0.404], [0.531, 0.000, 0.904]]}

=====

# 5
{"formula": "ErAl4Ni", "functional": "r2SCAN", "state": "relaxed", "space_group": "Cmcm", "final_energy_ev_per_atom": -12.719, "cell": [[3.891, 0.000, -1.043], [0.000, 6.546, 0.000], [0.026, 0.000, 7.872]], "species": ["Al", "Al", "Al", "Al", "Al", "Al", "Al", "Al", "Ni", "Ni", "Er", "Er"], "frac_coords": [[0.500, 0.500, 0.000], [0.311, 0.553, 0.623], [0.311, 0.947, 0.623], [0.689, 0.053, 0.377], [0.500, 0.000, 0.000], [0.689, 0.447, 0.377], [0.924, 0.750, 0.848], [0.076, 0.250, 0.152], [0.774, 0.750, 0.547], [0.226, 0.250, 0.453], [0.119, 0.750, 0.238], [0.881, 0.250, 0.762]]}

=====

# 6
{"formula": "ErAl8Ni3", "functional": "r2SCAN", "state": "relaxed", "space_group": "Amm2", "final_energy_ev_per_atom": -10.620, "cell": [[-3.782, 0.000, 0.000], [0.000, 0.000, -6.928], [-1.891, -7.244, 0.000]], "species": ["Al", "Al", "Al", "Al", "Al", "Al", "Al", "Al", "Ni", "Ni", "Ni", "Er"], "frac_coords": [[0.489, 0.038, 0.023], [0.315, 0.553, 0.371], [0.315, 0.947, 0.371], [0.921, 0.750, 0.158], [0.688, 0.060, 0.623], [0.489, 0.462, 0.023], [0.075, 0.250, 0.850], [0.688, 0.440, 0.623], [0.239, 0.250, 0.521], [0.761, 0.750, 0.479], [0.901, 0.250, 0.199], [0.120, 0.750, 0.760]]}

=====

# 7
{"formula": "ErAl2Ni", "functional": "r2SCAN", "state": "relaxed", "space_group": "Cmcm", "final_energy_ev_per_atom": -15.533, "cell": [[4.012, 0.000, 0.000], [-2.006, 5.019, 0.000], [0.000, 0.000, 6.830]], "species": ["Al", "Al", "Al", "Al", "Ni", "Ni", "Er", "Er"], "frac_coords": [[0.342, 0.684, 0.555], [0.658, 0.316, 0.445], [0.658, 0.316, 0.055], [0.342, 0.684, 0.945], [0.216, 0.431, 0.250], [0.784, 0.569, 0.750], [0.061, 0.121, 0.750], [0.939, 0.879, 0.250]]}

=====

# 8
{"formula": "ErAlNi4", "functional": "r2SCAN", "state": "relaxed", "space_group": "Cmmm", "final_energy_ev_per_atom": -15.281, "cell": [[2.468, -4.151, 0.000], [2.468, 4.151, 0.000], [0.000, 0.000, 3.978]], "species": ["Ni", "Ni", "Ni", "Ni", "Al", "Er"], "frac_coords": [[0.168, 0.832, 0.000], [0.000, 0.500, 0.500], [0.500, 0.000, 0.500], [0.832, 0.168, 0.000], [0.000, 0.000, 0.500], [0.500, 0.500, 0.000]]}

=====

Copy entry 6 word for word.
{"formula": "ErAl8Ni3", "functional": "r2SCAN", "state": "relaxed", "space_group": "Amm2", "final_energy_ev_per_atom": -10.620, "cell": [[-3.782, 0.000, 0.000], [0.000, 0.000, -6.928], [-1.891, -7.244, 0.000]], "species": ["Al", "Al", "Al", "Al", "Al", "Al", "Al", "Al", "Ni", "Ni", "Ni", "Er"], "frac_coords": [[0.489, 0.038, 0.023], [0.315, 0.553, 0.371], [0.315, 0.947, 0.371], [0.921, 0.750, 0.158], [0.688, 0.060, 0.623], [0.489, 0.462, 0.023], [0.075, 0.250, 0.850], [0.688, 0.440, 0.623], [0.239, 0.250, 0.521], [0.761, 0.750, 0.479], [0.901, 0.250, 0.199], [0.120, 0.750, 0.760]]}